Record 1
DFT (PBE) results for a geometry-optimized Dy4CrSe7 structure.

Properties
The value obtained for the calculated volume is 24.933 Å³/atom. The crystal system is monoclinic. The calculation puts the total energy at -5.96 eV/atom. The value obtained for the spin magnetization is 3.195 μB per cell. The MP2020-corrected energy comes out at -6.23 eV per atom. The energy of formation from the pure elements comes out at -1.85 eV/atom. Its symmetry is No. 8.

Geometry as POSCAR:
```
Dy4CrSe7
1.0
6.529 -1.990 0.000
6.529 1.990 0.000
-3.220 0.000 11.511
Dy Cr Se
4 1 7
direct
0.000 0.000 0.000
0.387 0.387 0.593
0.581 0.581 0.355
0.695 0.695 0.800
0.809 0.809 0.217
0.034 0.034 0.741
0.202 0.202 0.287
0.358 0.358 0.843
0.421 0.421 0.144
0.663 0.663 0.023
0.728 0.728 0.577
0.946 0.946 0.426
```

Record 2
DFT (PBE) results for a geometry-optimized DyCr2Si2 structure.

Properties
The value obtained for the calculated volume is 15.849 Å³/atom. The crystal system is tetragonal. The calculation puts the total energy at -7.38 eV/atom. The value obtained for the spin magnetization is 1.031 μB per cell. The MP2020-corrected energy comes out at -7.35 eV per atom. The energy of formation from the pure elements comes out at -0.40 eV/atom. Its symmetry is No. 139.

Geometry as POSCAR:
```
DyCr2Si2
1.0
-1.924 1.924 5.350
1.924 -1.924 5.350
1.924 1.924 -5.350
Dy Cr Si
1 2 2
direct
0.000 0.000 0.000
0.250 0.750 0.500
0.750 0.250 0.500
0.385 0.385 0.000
0.615 0.615 0.000
```

Record 3
DFT (PBE) results for a geometry-optimized Er4CrS7 structure.

Properties
The value obtained for the calculated volume is 21.065 Å³/atom. The crystal system is monoclinic. The calculation puts the total energy at -6.50 eV/atom. The value obtained for the spin magnetization is 3.797 μB per cell. The MP2020-corrected energy comes out at -6.79 eV per atom. The energy of formation from the pure elements comes out at -2.05 eV/atom. Its symmetry is No. 8.

Geometry as POSCAR:
```
Er4CrS7
1.0
6.178 -1.884 0.000
6.178 1.884 0.000
-3.010 0.000 10.859
Er Cr S
4 1 7
direct
0.000 0.000 0.000
0.387 0.387 0.597
0.580 0.580 0.358
0.695 0.695 0.801
0.809 0.809 0.219
0.034 0.034 0.742
0.201 0.201 0.289
0.357 0.357 0.846
0.423 0.423 0.147
0.663 0.663 0.024
0.730 0.730 0.579
0.946 0.946 0.428
```

Record 4
DFT (PBE) results for a geometry-optimized Er3CrS6 structure.

Properties
The value obtained for the calculated volume is 19.615 Å³/atom. The crystal system is orthorhombic. The calculation puts the total energy at -6.54 eV/atom. The MP2020-corrected energy comes out at -6.84 eV per atom. The energy of formation from the pure elements comes out at -2.02 eV/atom. Its symmetry is No. 58.

Geometry as POSCAR:
```
Er3CrS6
1.0
13.217 0.000 0.000
0.000 15.858 0.000
0.000 0.000 3.743
Er Cr S
12 4 24
direct
0.050 0.222 0.000
0.181 0.647 0.000
0.243 0.901 0.500
0.257 0.401 0.000
0.319 0.147 0.500
0.450 0.722 0.500
0.550 0.278 0.500
0.681 0.853 0.500
0.743 0.599 0.000
0.757 0.099 0.500
0.819 0.353 0.000
0.950 0.778 0.000
0.000 0.000 0.500
0.000 0.500 0.500
0.500 0.000 0.000
0.500 0.500 0.000
0.022 0.402 0.000
0.082 0.924 0.000
0.104 0.753 0.500
0.120 0.109 0.500
0.181 0.520 0.500
0.189 0.290 0.500
0.311 0.790 0.000
0.319 0.020 0.000
0.380 0.609 0.000
0.396 0.253 0.000
0.418 0.424 0.500
0.478 0.902 0.500
0.522 0.098 0.500
0.582 0.576 0.500
0.604 0.747 0.000
0.620 0.391 0.000
0.681 0.980 0.000
0.689 0.210 0.000
0.811 0.710 0.500
0.819 0.480 0.500
0.880 0.891 0.500
0.896 0.247 0.500
0.918 0.076 0.000
0.978 0.598 0.000
```

Record 5
DFT (PBE) results for a geometry-optimized EuCr3 structure.

Properties
The value obtained for the calculated volume is 21.270 Å³/atom. The crystal system is cubic. The calculation puts the total energy at -8.55 eV/atom. The value obtained for the spin magnetization is 18.985 μB per cell. The energy of formation from the pure elements comes out at 1.25 eV/atom. Its symmetry is No. 225.

Geometry as POSCAR:
```
EuCr3
1.0
0.000 3.491 3.491
3.491 0.000 3.491
3.491 3.491 0.000
Eu Cr
1 3
direct
0.000 0.000 0.000
0.250 0.250 0.250
0.500 0.500 0.500
0.750 0.750 0.750
```

Record 6
DFT (PBE) results for a geometry-optimized Cr3Fe structure.

Properties
The value obtained for the calculated volume is 11.608 Å³/atom. The crystal system is cubic. The calculation puts the total energy at -9.23 eV/atom. The value obtained for the spin magnetization is 1.993 μB per cell. The energy of formation from the pure elements comes out at 0.13 eV/atom. Its symmetry is No. 225.

Geometry as POSCAR:
```
Cr3Fe
1.0
0.000 2.853 2.853
2.853 0.000 2.853
2.853 2.853 0.000
Cr Fe
3 1
direct
0.000 0.000 0.000
0.250 0.250 0.250
0.750 0.750 0.750
0.500 0.500 0.500
```

Record 7
DFT (PBE) results for a geometry-optimized CrFe3 structure.

Properties
The value obtained for the calculated volume is 11.418 Å³/atom. The crystal system is cubic. The calculation puts the total energy at -8.70 eV/atom. The energy of formation from the pure elements comes out at 0.06 eV/atom. Its symmetry is No. 225.

Geometry as POSCAR:
```
CrFe3
1.0
0.000 2.837 2.837
2.837 0.000 2.837
2.837 2.837 0.000
Cr Fe
1 3
direct
0.000 0.000 0.000
0.250 0.250 0.250
0.500 0.500 0.500
0.750 0.750 0.750
```

Record 8
DFT (PBE) results for a geometry-optimized Cr3Fe structure.

Properties
The value obtained for the calculated volume is 11.400 Å³/atom. The crystal system is cubic. The calculation puts the total energy at -9.10 eV/atom. The value obtained for the spin magnetization is 0.007 μB per cell. The energy of formation from the pure elements comes out at 0.26 eV/atom. Its symmetry is No. 221.

Geometry as POSCAR:
```
Cr3Fe
1.0
3.573 0.000 0.000
0.000 3.573 0.000
0.000 0.000 3.573
Cr Fe
3 1
direct
0.000 0.000 0.500
0.000 0.500 0.000
0.500 0.000 0.000
0.500 0.500 0.500
```